The following is a DFT calculation (GGA-PBE) of a geometry-optimized HoCu3Te3 structure.

The structure in POSCAR format:
```
HoCu3Te3
1.0
7.331 -3.714 0.000
7.331 3.714 0.000
5.449 0.000 6.152
Cu Te Ho
6 6 2
direct
0.034 0.373 0.717 Cu
0.283 0.966 0.627 Cu
0.627 0.283 0.966 Cu
0.717 0.034 0.373 Cu
0.373 0.717 0.034 Cu
0.966 0.627 0.283 Cu
0.582 0.911 0.255 Te
0.255 0.582 0.911 Te
0.418 0.089 0.745 Te
0.911 0.255 0.582 Te
0.745 0.418 0.089 Te
0.089 0.745 0.418 Te
0.834 0.834 0.834 Ho
0.166 0.166 0.166 Ho
```

## Properties
**Formation enthalpy at 0 K**: -0.6672 eV/atom
**Electronic total energy**: -4.2449 eV/atom

=====

The following is a DFT calculation (GGA-PBE) of a geometry-optimized BaMgTiO3 structure.

The structure in POSCAR format:
```
BaMgTiO3
1.0
4.923 0.546 0.574
0.571 4.920 0.574
0.549 0.546 4.926
O Ti Ba Mg
3 1 1 1
direct
0.583 0.583 0.071 O
0.583 0.071 0.583 O
0.071 0.583 0.583 O
0.403 0.403 0.403 Ti
0.971 0.971 0.971 Ba
0.661 0.661 0.661 Mg
```

## Properties
**Formation enthalpy at 0 K**: -2.6974 eV/atom
**Electronic total energy**: -6.7303 eV/atom
**ΔE to the lowest computed polymorph**: 0.0203 eV/atom

=====

The following is a DFT calculation (GGA-PBE) of a geometry-optimized Li8EuSn7 structure.

The structure in POSCAR format:
```
Li8EuSn7
1.0
2.987 3.125 13.009
-7.223 -2.220 -11.437
-1.274 -11.107 2.961
Li Sn Eu
16 14 2
direct
0.000 0.000 0.500 Li
0.108 0.892 0.018 Li
0.000 0.000 0.000 Li
0.108 0.892 0.482 Li
0.892 0.108 0.982 Li
0.243 0.757 0.906 Li
0.545 0.455 0.375 Li
0.455 0.545 0.625 Li
0.757 0.243 0.094 Li
0.455 0.545 0.875 Li
0.757 0.243 0.406 Li
0.023 0.977 0.750 Li
0.892 0.108 0.518 Li
0.977 0.023 0.250 Li
0.545 0.455 0.125 Li
0.243 0.757 0.594 Li
0.435 0.565 0.379 Sn
0.263 0.737 0.250 Sn
0.737 0.263 0.750 Sn
0.920 0.080 0.750 Sn
0.670 0.330 0.545 Sn
0.330 0.670 0.045 Sn
0.655 0.345 0.250 Sn
0.565 0.435 0.879 Sn
0.565 0.435 0.621 Sn
0.080 0.920 0.250 Sn
0.345 0.655 0.750 Sn
0.330 0.670 0.455 Sn
0.435 0.565 0.121 Sn
0.670 0.330 0.955 Sn
0.858 0.142 0.250 Eu
0.142 0.858 0.750 Eu
```

## Properties
**Formation enthalpy at 0 K**: -0.3533 eV/atom
**Electronic total energy**: -3.7031 eV/atom

=====

The following is a DFT calculation (GGA-PBE) of a geometry-optimized Na9Ca11NbS18O72 structure.

The structure in POSCAR format:
```
Na9Ca11NbS18O72
1.0
9.239 -0.003 -0.012
-4.622 8.005 0.009
-0.031 0.008 23.939
O Na S Ca Nb
72 9 18 11 1
direct
0.480 0.348 0.751 O
0.165 0.471 0.253 O
0.173 0.198 0.412 O
0.016 0.211 0.204 O
0.555 0.898 0.365 O
0.477 0.339 0.417 O
0.995 0.817 0.081 O
0.114 0.651 0.366 O
0.217 0.990 0.190 O
0.461 0.318 0.035 O
0.867 0.521 0.750 O
0.148 0.671 0.080 O
0.885 0.326 0.529 O
0.558 0.886 0.467 O
0.225 0.211 0.805 O
0.657 0.123 0.130 O
0.657 0.136 0.750 O
0.676 0.131 0.029 O
0.787 0.811 0.907 O
0.540 0.671 0.964 O
0.792 0.016 0.804 O
0.451 0.113 0.637 O
0.044 0.794 0.705 O
0.130 0.459 0.963 O
0.819 0.810 0.587 O
0.147 0.486 0.862 O
0.199 0.167 0.084 O
0.673 0.553 0.535 O
0.341 0.857 0.584 O
0.454 0.334 0.137 O
0.002 0.806 0.416 O
0.516 0.659 0.584 O
0.125 0.670 0.468 O
0.344 0.450 0.358 O
0.341 0.846 0.865 O
0.207 0.253 0.705 O
0.512 0.660 0.863 O
0.513 0.837 0.767 O
0.188 0.006 0.587 O
0.662 0.548 0.637 O
0.879 0.340 0.631 O
0.166 0.678 0.767 O
0.779 0.775 0.299 O
0.771 0.778 0.198 O
0.323 0.489 0.767 O
0.189 0.971 0.908 O
0.320 0.462 0.459 O
0.985 0.776 0.805 O
0.819 0.003 0.416 O
0.330 0.869 0.966 O
0.861 0.330 0.249 O
0.878 0.372 0.908 O
0.748 0.956 0.705 O
0.989 0.181 0.586 O
0.205 0.012 0.291 O
0.810 0.008 0.082 O
0.862 0.501 0.419 O
0.997 0.215 0.306 O
0.889 0.552 0.131 O
0.340 0.471 0.081 O
0.142 0.483 0.582 O
0.468 0.162 0.245 O
0.021 0.211 0.907 O
0.329 0.857 0.249 O
0.445 0.120 0.536 O
0.505 0.871 0.079 O
0.493 0.119 0.909 O
0.882 0.556 0.029 O
0.670 0.154 0.418 O
0.513 0.665 0.249 O
0.627 0.506 0.908 O
0.661 0.514 0.249 O
0.307 0.976 0.093 Na
0.978 0.308 0.423 Na
0.666 0.333 0.829 Na
0.356 0.356 0.258 Na
0.333 0.666 0.644 Na
0.669 0.335 0.341 Na
0.977 0.999 0.011 Na
0.334 0.667 0.175 Na
0.998 0.974 0.505 Na
0.331 0.364 0.412 S
0.685 0.687 0.249 S
0.027 0.660 0.417 S
0.689 0.995 0.755 S
0.646 0.981 0.417 S
0.665 0.036 0.080 S
0.338 0.956 0.915 S
0.006 0.694 0.755 S
0.303 0.003 0.244 S
0.007 0.305 0.253 S
0.973 0.333 0.582 S
0.974 0.644 0.080 S
0.040 0.378 0.912 S
0.366 0.326 0.084 S
0.307 0.314 0.755 S
0.667 0.641 0.586 S
0.621 0.662 0.913 S
0.358 0.025 0.586 S
0.332 0.655 0.019 Ca
0.992 0.983 0.350 Ca
0.982 0.993 0.152 Ca
0.673 0.342 0.979 Ca
0.655 0.333 0.488 Ca
0.000 0.002 0.650 Ca
0.002 0.000 0.850 Ca
0.667 0.333 0.679 Ca
0.686 0.343 0.183 Ca
0.343 0.675 0.515 Ca
0.341 0.686 0.320 Ca
0.333 0.667 0.816 Nb
```

## Properties
**Formation enthalpy at 0 K**: -2.4504 eV/atom
**Electronic total energy**: -6.2821 eV/atom

=====

The following is a DFT calculation (GGA-PBE) of a geometry-optimized Ca4In2N structure.

The structure in POSCAR format:
```
Ca4In2N
1.0
-2.468 2.468 14.577
2.468 -2.468 14.577
2.468 2.468 -14.577
In Ca N
4 8 2
direct
0.910 0.910 0.000 In
0.660 0.160 0.500 In
0.090 0.090 0.000 In
0.840 0.340 0.500 In
0.001 0.501 0.500 Ca
0.581 0.581 0.000 Ca
0.749 0.749 0.000 Ca
0.169 0.669 0.500 Ca
0.251 0.251 0.000 Ca
0.419 0.419 0.000 Ca
0.499 0.999 0.500 Ca
0.331 0.831 0.500 Ca
0.500 0.500 0.000 N
0.250 0.750 0.500 N
```

## Properties
**Formation enthalpy at 0 K**: -0.6907 eV/atom
**Electronic total energy**: -3.7623 eV/atom

=====

The following is a DFT calculation (GGA-PBE) of a geometry-optimized Li2P7H27N9 structure.

The structure in POSCAR format:
```
Li2P7H27N9
1.0
-5.040 2.469 -7.616
-4.475 -0.374 8.596
5.567 12.530 0.914
H P N Li
54 14 18 4
direct
0.571 0.400 0.034 H
0.596 0.414 0.917 H
0.409 0.034 0.072 H
0.404 0.586 0.083 H
0.047 0.455 0.429 H
0.319 0.785 0.519 H
0.102 0.190 0.546 H
0.056 0.124 0.881 H
0.764 0.110 0.993 H
0.361 0.949 0.475 H
0.429 0.600 0.966 H
0.201 0.306 0.876 H
0.652 0.304 0.970 H
0.774 0.111 0.448 H
0.990 0.361 0.129 H
0.953 0.545 0.571 H
0.363 0.113 0.734 H
0.226 0.889 0.552 H
0.990 0.583 0.690 H
0.958 0.449 0.047 H
0.368 0.961 0.770 H
0.639 0.051 0.525 H
0.194 0.958 0.752 H
0.010 0.639 0.871 H
0.867 0.278 0.816 H
0.971 0.906 0.363 H
0.705 0.264 0.758 H
0.898 0.810 0.454 H
0.128 0.575 0.624 H
0.843 0.408 0.136 H
0.236 0.890 0.007 H
0.681 0.215 0.481 H
0.295 0.736 0.242 H
0.270 0.895 0.251 H
0.148 0.261 0.985 H
0.591 0.966 0.928 H
0.755 0.958 0.909 H
0.157 0.592 0.864 H
0.852 0.739 0.015 H
0.029 0.094 0.637 H
0.179 0.282 0.661 H
0.799 0.694 0.124 H
0.042 0.551 0.953 H
0.821 0.718 0.339 H
0.806 0.042 0.248 H
0.245 0.042 0.091 H
0.944 0.876 0.119 H
0.632 0.039 0.230 H
0.348 0.696 0.030 H
0.133 0.722 0.184 H
0.637 0.887 0.266 H
0.872 0.425 0.376 H
0.730 0.105 0.749 H
0.010 0.417 0.310 H
0.453 0.740 0.698 P
0.624 0.555 0.543 P
0.450 0.577 0.335 P
0.145 0.166 0.268 P
0.457 0.561 0.769 P
0.543 0.439 0.231 P
0.278 0.379 0.208 P
0.550 0.423 0.665 P
0.722 0.621 0.792 P
0.664 0.795 0.620 P
0.336 0.205 0.380 P
0.855 0.834 0.732 P
0.547 0.260 0.302 P
0.376 0.445 0.457 P
0.994 0.479 0.372 N
0.835 0.782 0.084 N
0.072 0.203 0.617 N
0.928 0.797 0.383 N
0.211 0.774 0.248 N
0.564 0.337 0.965 N
0.698 0.988 0.965 N
0.686 0.969 0.221 N
0.006 0.521 0.628 N
0.165 0.218 0.916 N
0.269 0.849 0.493 N
0.731 0.151 0.507 N
0.100 0.636 0.912 N
0.436 0.663 0.035 N
0.314 0.031 0.779 N
0.789 0.226 0.752 N
0.900 0.364 0.088 N
0.302 0.012 0.035 N
0.664 0.858 0.075 Li
0.904 0.280 0.627 Li
0.336 0.142 0.925 Li
0.096 0.720 0.373 Li
```

## Properties
**Formation enthalpy at 0 K**: -0.4194 eV/atom
**Electronic total energy**: -4.9770 eV/atom

=====

no.,mass density (g/cm³),magnetization (μB per cell)
1,7.3,0.0
2,3.7,0.0
3,4.8,13.9
4,2.3,0.0
5,3.8,0.1
6,1.2,0.0